Compound: MgCo3P3O13
Source: Materials Project
Functional: PBE with a Hubbard U
Structure: relaxed

**ΔH_f (0 K)**: -2158 meV/atom
**Total moment**: 8.00 μB per formula unit
**Calculated volume**: 11.679 Å³/atom

```
MgCo3P3O13
1.0
6.286 0.000 0.000
0.000 7.521 0.000
0.000 1.812 9.883
O P Co Mg
26 6 6 2
direct
0.062 0.389 0.789 O
0.459 0.211 0.099 O
0.041 0.211 0.099 O
0.750 0.347 0.607 O
0.250 0.370 0.254 O
0.750 0.911 0.130 O
0.959 0.789 0.901 O
0.750 0.491 0.978 O
0.750 0.630 0.746 O
0.559 0.253 0.405 O
0.250 0.218 0.621 O
0.250 0.876 0.093 O
0.250 0.653 0.393 O
0.541 0.789 0.901 O
0.750 0.782 0.379 O
0.938 0.611 0.211 O
0.438 0.389 0.789 O
0.750 0.124 0.907 O
0.059 0.747 0.595 O
0.250 0.509 0.022 O
0.250 0.976 0.412 O
0.250 0.089 0.870 O
0.941 0.253 0.405 O
0.441 0.747 0.595 O
0.562 0.611 0.211 O
0.750 0.024 0.588 O
0.750 0.221 0.504 P
0.250 0.779 0.496 P
0.750 0.682 0.888 P
0.750 0.733 0.238 P
0.250 0.267 0.762 P
0.250 0.318 0.112 P
0.250 0.649 0.202 Co
0.750 0.790 0.568 Co
0.000 0.000 0.000 Co
0.250 0.210 0.432 Co
0.500 0.000 0.000 Co
0.750 0.351 0.798 Co
0.750 0.369 0.179 Mg
0.250 0.631 0.821 Mg
```